Density functional theory data (meta-GGA r2SCAN) for a relaxed CdCuF4 crystal.

POSCAR file:
```
CdCuF4
1.0
-2.670 2.670 5.143
2.670 -2.670 5.143
2.670 2.670 -5.143
Cd Cu F
2 2 8
Cartesian
0.000 0.000 2.571
0.000 0.000 7.714
2.670 0.000 0.000
0.000 2.670 0.000
3.639 0.969 -1.313
0.969 1.702 -1.313
3.639 0.969 1.313
0.969 1.702 1.313
1.702 0.969 3.830
-0.969 1.702 3.830
1.702 0.969 6.456
-0.969 1.702 6.456
```

Summary:
Space-group type = I4/mcm
DFT formation energy = -2.1500 eV per atom
Calculated volume = 12.22 A^3/atom



Density functional theory data (meta-GGA r2SCAN) for a relaxed LuTlRh2 crystal.

POSCAR file:
```
LuTlRh2
1.0
0.000 3.280 3.280
3.280 0.000 3.280
3.280 3.280 0.000
Lu Tl Rh
1 1 2
Cartesian
0.000 0.000 0.000
3.280 3.280 3.280
1.640 1.640 1.640
4.920 4.920 4.920
```

Summary:
Space-group type = Fm-3m
DFT formation energy = -0.6637 eV per atom
Calculated volume = 17.65 A^3/atom



Density functional theory data (meta-GGA r2SCAN) for a relaxed LaThPb6 crystal.

POSCAR file:
```
LaThPb6
1.0
4.893 0.000 0.000
0.000 4.893 0.000
0.000 0.000 9.977
La Th Pb
1 1 6
Cartesian
0.000 0.000 0.000
0.000 0.000 4.989
0.000 2.447 2.511
0.000 2.447 7.466
2.447 0.000 2.511
2.447 0.000 7.466
2.447 2.447 0.000
2.447 2.447 4.989
```

Summary:
Space-group type = P4/mmm
DFT formation energy = -0.4317 eV per atom
Calculated volume = 29.86 A^3/atom



Density functional theory data (meta-GGA r2SCAN) for a relaxed LaEuCd2 crystal.

POSCAR file:
```
LaEuCd2
1.0
0.000 3.923 3.923
3.923 0.000 3.923
3.923 3.923 0.000
La Eu Cd
1 1 2
Cartesian
0.000 0.000 0.000
3.923 3.923 3.923
1.962 1.962 1.962
5.885 5.885 5.885
```

Summary:
Space-group type = Fm-3m
DFT formation energy = -0.3809 eV per atom
Calculated volume = 30.19 A^3/atom



Density functional theory data (meta-GGA r2SCAN) for a relaxed Rb2LiVO4 crystal.

POSCAR file:
```
Rb2LiVO4
1.0
2.929 -5.846 0.000
2.929 5.846 0.000
0.000 0.000 7.875
Rb Li V O
4 2 2 8
Cartesian
2.929 5.116 3.938
2.929 1.218 2.846
2.929 -1.218 6.784
2.929 -5.116 0.000
2.929 3.493 0.642
2.929 -3.493 4.580
2.929 2.234 6.300
2.929 -2.234 2.362
1.526 1.706 5.458
2.929 3.940 6.565
2.929 1.574 0.015
1.526 -1.706 1.520
4.332 1.706 5.458
2.929 -1.574 3.953
2.929 -3.940 2.627
4.332 -1.706 1.520
```

Summary:
Space-group type = Cmc2_1
DFT formation energy = -2.4318 eV per atom
Calculated volume = 16.85 A^3/atom



Density functional theory data (meta-GGA r2SCAN) for a relaxed Cs3YO3 crystal.

POSCAR file:
```
Cs3YO3
1.0
3.968 -6.379 0.000
3.968 6.379 0.000
-1.443 0.000 7.481
Cs Y O
6 2 6
Cartesian
3.968 3.702 0.000
3.247 3.028 3.741
2.610 0.000 1.100
3.884 0.000 6.381
3.247 -3.028 3.741
3.968 -3.702 0.000
0.435 0.000 4.872
6.059 0.000 2.609
0.300 0.000 2.683
1.284 1.733 5.736
1.284 -1.733 5.736
5.211 1.733 1.746
5.211 -1.733 1.746
6.194 0.000 4.798
```

Summary:
Space-group type = C2/m
Relative energy among the computed polymorphs = 1.18 kJ/mol of atoms
DFT formation energy = -2.1045 eV per atom
Calculated volume = 27.06 A^3/atom



Density functional theory data (meta-GGA r2SCAN) for a relaxed Y3Sb4Au3 crystal.

POSCAR file:
```
Y3Sb4Au3
1.0
-4.952 4.952 4.952
4.952 -4.952 4.952
4.952 4.952 -4.952
Y Sb Au
6 8 6
Cartesian
4.952 -2.476 3.714
3.714 4.952 -2.476
4.952 2.476 1.238
2.476 1.238 4.952
1.238 4.952 2.476
-2.476 3.714 4.952
3.337 1.615 -1.615
5.813 -0.861 0.861
1.615 -1.615 3.337
1.615 1.615 1.615
-1.615 3.337 1.615
0.861 5.813 -0.861
-0.861 0.861 5.813
4.091 4.091 4.091
7.428 1.238 0.000
3.714 0.000 2.476
2.476 3.714 0.000
0.000 2.476 3.714
1.238 0.000 7.428
0.000 7.428 1.238
```

Summary:
Space-group type = I-43d
DFT formation energy = -0.9369 eV per atom
Calculated volume = 24.29 A^3/atom



Density functional theory data (meta-GGA r2SCAN) for a relaxed Sc11Ga9 crystal.

POSCAR file:
```
Sc11Ga9
1.0
0.000 7.557 7.560
7.017 0.000 7.560
7.017 7.557 0.000
Sc Ga
22 18
Cartesian
0.000 0.000 0.000
5.043 4.915 0.719
1.973 2.642 0.719
5.144 1.713 5.191
8.888 5.845 7.255
5.037 4.917 4.162
1.980 2.641 4.162
7.017 7.557 4.888
12.060 10.200 8.280
8.888 9.269 7.255
9.544 7.557 10.003
7.017 4.928 10.011
5.145 5.845 7.255
12.053 10.198 11.722
1.872 5.844 5.191
5.145 9.269 7.255
8.990 12.472 8.280
8.889 9.270 12.752
7.017 10.186 10.011
4.489 7.557 10.003
12.161 13.401 12.752
8.997 12.474 11.722
4.308 2.776 2.439
7.017 5.703 2.444
8.728 7.557 2.446
9.825 7.557 4.986
7.017 3.785 6.210
11.223 7.557 7.462
7.017 9.411 2.444
5.305 7.557 2.446
2.708 4.781 2.439
3.508 3.779 6.223
4.208 7.557 4.986
7.017 7.557 8.560
9.725 10.333 9.999
7.017 11.329 6.210
11.325 12.338 9.999
7.017 7.557 11.448
2.810 7.557 7.462
10.525 11.336 13.783
```

Summary:
Space-group type = Fmm2
DFT formation energy = -0.6469 eV per atom
Calculated volume = 20.04 A^3/atom



Density functional theory data (meta-GGA r2SCAN) for a relaxed SrO crystal.

POSCAR file:
```
SrO
1.0
4.275 0.000 0.000
-2.138 3.703 0.000
0.000 0.000 5.156
Sr O
2 2
Cartesian
0.000 2.468 0.000
2.138 1.234 2.578
0.000 2.468 2.571
2.138 1.234 5.149
```

Summary:
Space-group type = P6_3mc
DFT formation energy = -2.8842 eV per atom
Calculated volume = 20.40 A^3/atom



Density functional theory data (meta-GGA r2SCAN) for a relaxed SrCd2Pd crystal.

POSCAR file:
```
SrCd2Pd
1.0
2.212 -5.366 0.000
2.212 5.366 0.000
0.000 0.000 8.165
Sr Cd Pd
2 4 2
Cartesian
2.212 4.697 6.124
2.212 -4.697 2.041
2.212 1.605 4.535
2.212 1.605 7.712
2.212 -1.605 0.453
2.212 -1.605 3.629
2.212 2.982 2.041
2.212 -2.982 6.124
```

Summary:
Space-group type = Cmcm
DFT formation energy = -0.5037 eV per atom
Calculated volume = 24.23 A^3/atom



Density functional theory data (meta-GGA r2SCAN) for a relaxed Tb3Ho crystal.

POSCAR file:
```
Tb3Ho
1.0
5.031 0.000 0.000
0.000 5.031 0.000
0.000 0.000 5.031
Tb Ho
3 1
Cartesian
0.000 0.000 2.516
0.000 2.516 0.000
2.516 0.000 0.000
2.516 2.516 2.516
```

Summary:
Space-group type = Pm-3m
Relative energy among the computed polymorphs = 0.48 kJ/mol of atoms
DFT formation energy = 0.0399 eV per atom
Calculated volume = 31.84 A^3/atom



Density functional theory data (meta-GGA r2SCAN) for a relaxed Eu2InHg crystal.

POSCAR file:
```
Eu2InHg
1.0
0.000 3.930 3.930
3.930 0.000 3.930
3.930 3.930 0.000
Eu In Hg
2 1 1
Cartesian
1.965 1.965 1.965
5.896 5.896 5.896
0.000 0.000 0.000
3.930 3.930 3.930
```

Summary:
Space-group type = Fm-3m
DFT formation energy = -0.5930 eV per atom
Calculated volume = 30.36 A^3/atom



Question: The highest calculated volume belongs to which entry?
Answer: Tb3Ho



Question: calculated volume of number 12 (Eu2InHg)?
Answer: 30.36 A^3/atom